Density functional theory data (PBE-GGA) for BaCaEuSbO6 after structural relaxation.

Summary:
**Electronic total energy**: -72.1 eV/f.u.
**ΔE to the lowest computed polymorph**: 6 meV per atom
**Energy relative to the elements**: -2824 meV per atom

CIF file:
```
data_BaCaEuSbO6
_chemical_formula_sum 'Ba2 Ca2 Eu2 Sb2 O12'
_space_group_name_H-M_alt 'P -1'
_space_group_IT_number 2
_space_group_name_Hall '-P 1'
_cell_length_a 5.968
_cell_length_b 6.015
_cell_length_c 8.486
_cell_angle_alpha 89.64
_cell_angle_beta 89.38
_cell_angle_gamma 89.93
loop_
_atom_site_label
_atom_site_type_symbol
_atom_site_fract_x
_atom_site_fract_y
_atom_site_fract_z
_atom_site_occupancy
Ba1 Ba 0.006 0.030 0.250 1
Ca1 Ca 0.491 0.539 0.245 1
Eu1 Eu 0.000 0.500 0.000 1
Eu2 Eu 0.500 0.000 0.500 1
Sb1 Sb 0.000 0.500 0.500 1
Sb2 Sb 0.500 0.000 0.000 1
O1 O 0.104 0.496 0.730 1
O2 O 0.199 0.766 0.463 1
O3 O 0.230 0.802 0.026 1
O4 O 0.272 0.310 0.440 1
O5 O 0.318 0.279 0.053 1
O6 O 0.441 0.056 0.768 1
```

---

Density functional theory data (PBE-GGA) for BaCaEuSbO6 after structural relaxation.

Summary:
**Electronic total energy**: -71.4 eV/f.u.
**ΔE to the lowest computed polymorph**: 78 meV per atom
**Energy relative to the elements**: -2752 meV per atom

CIF file:
```
data_BaCaEuSbO6
_chemical_formula_sum 'Ba4 Ca4 Eu4 Sb4 O24'
_space_group_name_H-M_alt 'F -4 3 m'
_space_group_IT_number 216
_space_group_name_Hall 'F -4 2 3'
_cell_length_a 8.515
_cell_length_b 8.515
_cell_length_c 8.515
_cell_angle_alpha 90.00
_cell_angle_beta 90.00
_cell_angle_gamma 90.00
loop_
_atom_site_label
_atom_site_type_symbol
_atom_site_fract_x
_atom_site_fract_y
_atom_site_fract_z
_atom_site_occupancy
Ba1 Ba 0.000 0.000 0.000 1
Ca1 Ca 0.000 0.000 0.500 1
Eu1 Eu 0.250 0.250 0.750 1
Sb1 Sb 0.250 0.250 0.250 1
O1 O 0.015 0.250 0.250 1
```

---

Density functional theory data (PBE-GGA) for BaCaEuSbO6 after structural relaxation.

Summary:
**Electronic total energy**: -72.1 eV/f.u.
**ΔE to the lowest computed polymorph**: 4 meV per atom
**Energy relative to the elements**: -2826 meV per atom

CIF file:
```
data_BaCaEuSbO6
_chemical_formula_sum 'Ba4 Ca4 Eu4 Sb4 O24'
_space_group_name_H-M_alt 'P 2 2 2'
_space_group_IT_number 16
_space_group_name_Hall 'P 2 2'
_cell_length_a 8.420
_cell_length_b 8.427
_cell_length_c 8.464
_cell_angle_alpha 90.00
_cell_angle_beta 90.00
_cell_angle_gamma 90.00
loop_
_atom_site_label
_atom_site_type_symbol
_atom_site_fract_x
_atom_site_fract_y
_atom_site_fract_z
_atom_site_occupancy
Ba1 Ba 0.000 0.000 0.000 1
Ba2 Ba 0.000 0.000 0.500 1
Ba3 Ba 0.500 0.000 0.000 1
Ba4 Ba 0.500 0.500 0.500 1
Ca1 Ca 0.000 0.500 0.000 1
Ca2 Ca 0.000 0.500 0.500 1
Ca3 Ca 0.500 0.000 0.500 1
Ca4 Ca 0.500 0.500 0.000 1
Eu1 Eu 0.250 0.254 0.250 1
Sb1 Sb 0.249 0.256 0.749 1
O1 O 0.016 0.221 0.721 1
O2 O 0.205 0.295 0.982 1
O3 O 0.207 0.484 0.696 1
O4 O 0.276 0.019 0.782 1
O5 O 0.301 0.209 0.519 1
O6 O 0.480 0.301 0.796 1
```

---

Density functional theory data (PBE-GGA) for BaCaEuSbO6 after structural relaxation.

Summary:
**Electronic total energy**: -72.2 eV/f.u.
**ΔE to the lowest computed polymorph**: 0 meV per atom
**Energy relative to the elements**: -2830 meV per atom

CIF file:
```
data_BaCaEuSbO6
_chemical_formula_sum 'Ba4 Ca4 Eu4 Sb4 O24'
_space_group_name_H-M_alt 'P n n n'
_space_group_IT_number 48
_cell_length_a 8.408
_cell_length_b 8.452
_cell_length_c 8.473
_cell_angle_alpha 90.00
_cell_angle_beta 90.00
_cell_angle_gamma 90.00
loop_
_space_group_symop_operation_xyz
'x,y,z'
'-x,-y,-z'
'-x+1/2,-y+1/2,z'
'x+1/2,y+1/2,-z'
'x,-y+1/2,-z+1/2'
'-x,y+1/2,z+1/2'
'-x+1/2,y,-z+1/2'
'x+1/2,-y,z+1/2'
loop_
_atom_site_label
_atom_site_type_symbol
_atom_site_fract_x
_atom_site_fract_y
_atom_site_fract_z
_atom_site_occupancy
Ba1 Ba 0.250 0.250 0.250 1
Ba2 Ba 0.250 0.750 0.750 1
Ca1 Ca 0.000 0.000 0.000 1
Eu1 Eu 0.250 0.250 0.750 1
Eu2 Eu 0.250 0.750 0.250 1
Sb1 Sb 0.000 0.000 0.500 1
O1 O 0.031 0.234 0.478 1
O2 O 0.054 0.034 0.732 1
O3 O 0.232 0.542 0.053 1
```

---

Density functional theory data (PBE-GGA) for BaCaGaF7 after structural relaxation.

Summary:
**Electronic total energy**: -54.5 eV/f.u.
**Energy relative to the elements**: -3734 meV per atom

CIF file:
```
data_BaCaGaF7
_chemical_formula_sum 'Ba4 Ca4 Ga4 F28'
_space_group_name_H-M_alt 'P 1 2/c 1'
_space_group_IT_number 13
_space_group_name_Hall '-P 2yc'
_cell_length_a 5.494
_cell_length_b 5.524
_cell_length_c 19.890
_cell_angle_alpha 90.00
_cell_angle_beta 103.64
_cell_angle_gamma 90.00
loop_
_atom_site_label
_atom_site_type_symbol
_atom_site_fract_x
_atom_site_fract_y
_atom_site_fract_z
_atom_site_occupancy
Ba1 Ba 0.183 0.243 0.432 1
Ca1 Ca 0.000 0.325 0.750 1
Ca2 Ca 0.500 0.209 0.250 1
Ga1 Ga 0.322 0.225 0.619 1
F1 F 0.000 0.284 0.558 1
F2 F 0.153 0.024 0.677 1
F3 F 0.233 0.371 0.308 1
F4 F 0.254 0.491 0.675 1
F5 F 0.344 0.055 0.064 1
F6 F 0.375 0.130 0.816 1
F7 F 0.472 0.409 0.561 1
```

---

Density functional theory data (PBE-GGA) for BaCaLu2F10 after structural relaxation.

Summary:
**Electronic total energy**: -88.7 eV/f.u.
**Energy relative to the elements**: -4374 meV per atom

CIF file:
```
data_BaCaLu2F10
_chemical_formula_sum 'Ba4 Ca4 Lu8 F40'
_space_group_name_H-M_alt 'I 4/m m m'
_space_group_IT_number 139
_space_group_name_Hall '-I 4 2'
_cell_length_a 8.084
_cell_length_b 8.084
_cell_length_c 11.721
_cell_angle_alpha 90.00
_cell_angle_beta 90.00
_cell_angle_gamma 90.00
loop_
_atom_site_label
_atom_site_type_symbol
_atom_site_fract_x
_atom_site_fract_y
_atom_site_fract_z
_atom_site_occupancy
Ba1 Ba 0.000 0.500 0.250 1
Ca1 Ca 0.000 0.000 0.244 1
Lu1 Lu 0.238 0.238 0.000 1
F1 F 0.000 0.232 0.108 1
F2 F 0.000 0.332 0.500 1
F3 F 0.175 0.175 0.339 1
```

---

Density functional theory data (PBE-GGA) for BaCaTiF7 after structural relaxation.

Summary:
**Electronic total energy**: -61.4 eV/f.u.
**Energy relative to the elements**: -3938 meV per atom

CIF file:
```
data_BaCaTiF7
_chemical_formula_sum 'Ba4 Ca4 Ti4 F28'
_space_group_name_H-M_alt 'P 1 21/c 1'
_space_group_IT_number 14
_space_group_name_Hall '-P 2ybc'
_cell_length_a 5.915
_cell_length_b 10.404
_cell_length_c 10.092
_cell_angle_alpha 90.00
_cell_angle_beta 92.74
_cell_angle_gamma 90.00
loop_
_atom_site_label
_atom_site_type_symbol
_atom_site_fract_x
_atom_site_fract_y
_atom_site_fract_z
_atom_site_occupancy
Ba1 Ba 0.229 0.175 0.497 1
Ca1 Ca 0.200 0.594 0.318 1
Ti1 Ti 0.310 0.617 0.692 1
F1 F 0.024 0.705 0.756 1
F2 F 0.104 0.539 0.115 1
F3 F 0.155 0.047 0.129 1
F4 F 0.226 0.700 0.520 1
F5 F 0.395 0.076 0.891 1
F6 F 0.404 0.540 0.859 1
F7 F 0.488 0.724 0.254 1
```

---

Density functional theory data (PBE-GGA) for BaCaGdNbO6 after structural relaxation.

Summary:
**Electronic total energy**: -86.8 eV/f.u.
**ΔE to the lowest computed polymorph**: 91 meV per atom
**Energy relative to the elements**: -3310 meV per atom

CIF file:
```
data_BaCaGdNbO6
_chemical_formula_sum 'Ba4 Ca4 Gd4 Nb4 O24'
_space_group_name_H-M_alt 'F -4 3 m'
_space_group_IT_number 216
_space_group_name_Hall 'F -4 2 3'
_cell_length_a 8.531
_cell_length_b 8.531
_cell_length_c 8.531
_cell_angle_alpha 90.00
_cell_angle_beta 90.00
_cell_angle_gamma 90.00
loop_
_atom_site_label
_atom_site_type_symbol
_atom_site_fract_x
_atom_site_fract_y
_atom_site_fract_z
_atom_site_occupancy
Ba1 Ba 0.000 0.000 0.000 1
Ca1 Ca 0.000 0.000 0.500 1
Gd1 Gd 0.250 0.250 0.750 1
Nb1 Nb 0.250 0.250 0.250 1
O1 O 0.014 0.250 0.250 1
```

---

Density functional theory data (PBE-GGA) for BaCaGdNbO6 after structural relaxation.

Summary:
**Electronic total energy**: -87.7 eV/f.u.
**ΔE to the lowest computed polymorph**: 0 meV per atom
**Energy relative to the elements**: -3401 meV per atom

CIF file:
```
data_BaCaGdNbO6
_chemical_formula_sum 'Ba4 Ca4 Gd4 Nb4 O24'
_space_group_name_H-M_alt 'P 2 2 2'
_space_group_IT_number 16
_space_group_name_Hall 'P 2 2'
_cell_length_a 8.393
_cell_length_b 8.409
_cell_length_c 8.440
_cell_angle_alpha 90.00
_cell_angle_beta 90.00
_cell_angle_gamma 90.00
loop_
_atom_site_label
_atom_site_type_symbol
_atom_site_fract_x
_atom_site_fract_y
_atom_site_fract_z
_atom_site_occupancy
Ba1 Ba 0.000 0.000 0.000 1
Ba2 Ba 0.000 0.000 0.500 1
Ba3 Ba 0.000 0.500 0.000 1
Ba4 Ba 0.500 0.500 0.500 1
Ca1 Ca 0.000 0.500 0.500 1
Ca2 Ca 0.500 0.000 0.000 1
Ca3 Ca 0.500 0.000 0.500 1
Ca4 Ca 0.500 0.500 0.000 1
Gd1 Gd 0.256 0.252 0.250 1
Nb1 Nb 0.257 0.249 0.748 1
O1 O 0.017 0.272 0.780 1
O2 O 0.211 0.304 0.517 1
O3 O 0.225 0.014 0.722 1
O4 O 0.297 0.207 0.985 1
O5 O 0.303 0.481 0.798 1
O6 O 0.485 0.208 0.690 1
```

---

Density functional theory data (PBE-GGA) for BaCaGe after structural relaxation.

Summary:
**Electronic total energy**: -10.3 eV/f.u.
**Energy relative to the elements**: -583 meV per atom

CIF file:
```
data_BaCaGe
_chemical_formula_sum 'Ba4 Ca4 Ge4'
_space_group_name_H-M_alt 'P n m a'
_space_group_IT_number 62
_space_group_name_Hall '-P 2ac 2n'
_cell_length_a 8.634
_cell_length_b 5.111
_cell_length_c 9.257
_cell_angle_alpha 90.00
_cell_angle_beta 90.00
_cell_angle_gamma 90.00
loop_
_atom_site_label
_atom_site_type_symbol
_atom_site_fract_x
_atom_site_fract_y
_atom_site_fract_z
_atom_site_occupancy
Ba1 Ba 0.028 0.250 0.176 1
Ca1 Ca 0.141 0.250 0.574 1
Ge1 Ge 0.219 0.750 0.392 1
```

---

Density functional theory data (PBE-GGA) for BaCaP2H2O8 after structural relaxation.

Summary:
**Electronic total energy**: -94.9 eV/f.u.
**Energy relative to the elements**: -2806 meV per atom

CIF file:
```
data_BaCaP2H2O8
_chemical_formula_sum 'Ba4 Ca4 P8 H8 O32'
_space_group_name_H-M_alt 'P 1 21/c 1'
_space_group_IT_number 14
_space_group_name_Hall '-P 2ybc'
_cell_length_a 9.977
_cell_length_b 8.038
_cell_length_c 9.661
_cell_angle_alpha 90.00
_cell_angle_beta 115.47
_cell_angle_gamma 90.00
loop_
_atom_site_label
_atom_site_type_symbol
_atom_site_fract_x
_atom_site_fract_y
_atom_site_fract_z
_atom_site_occupancy
Ba1 Ba 0.227 0.146 0.052 1
Ca1 Ca 0.274 0.642 0.211 1
P1 P 0.073 0.563 0.834 1
P2 P 0.499 0.737 0.574 1
H1 H 0.047 0.668 0.338 1
H2 H 0.484 0.521 0.872 1
O1 O 0.022 0.729 0.891 1
O2 O 0.074 0.535 0.258 1
O3 O 0.142 0.609 0.724 1
O4 O 0.178 0.028 0.480 1
O5 O 0.353 0.661 0.560 1
O6 O 0.361 0.135 0.832 1
O7 O 0.483 0.094 0.326 1
O8 O 0.491 0.713 0.917 1
```

---

Density functional theory data (PBE-GGA) for BaCaI4 after structural relaxation.

Summary:
**Electronic total energy**: -20.0 eV/f.u.
**Piezoelectric modulus e_max**: 0.24 C/m2
**ΔE to the lowest computed polymorph**: 24 meV per atom
**Energy relative to the elements**: -1921 meV per atom

CIF file:
```
data_BaCaI4
_chemical_formula_sum 'Ba2 Ca2 I8'
_space_group_name_H-M_alt 'C 1 m 1'
_space_group_IT_number 8
_space_group_name_Hall 'C -2y'
_cell_length_a 11.081
_cell_length_b 11.086
_cell_length_c 4.966
_cell_angle_alpha 90.00
_cell_angle_beta 91.29
_cell_angle_gamma 90.00
loop_
_atom_site_label
_atom_site_type_symbol
_atom_site_fract_x
_atom_site_fract_y
_atom_site_fract_z
_atom_site_occupancy
Ba1 Ba 0.000 0.000 0.000 1
Ca1 Ca 0.000 0.500 0.503 1
I1 I 0.183 0.500 0.012 1
I2 I 0.315 0.000 0.990 1
I3 I 0.487 0.285 0.496 1
```